The following is a GGA+U calculation of Li2VO2F2 after structural relaxation, from the Materials Project.

Its calculated formation energy is -2806 meV/atom. The calculation puts the magnetization at 0.0 Bohr magnetons per cell. As for the total energy: -6.0391 eV/atom.

Cell: 5.9128 5.9711 10.1209 Å, 87.81 106.93 119.68°
Closest atoms and distances in Å follow each position.
Fractional positions:
F 0.2600 0.1544 0.8785  3 Li 1.96-2.05, 1 V 2.01
Li 0.0069 0.7550 0.2508  4 F 2.02-2.05, 2 O 2.13-2.16
O 0.7193 0.8859 0.6232  1 V 1.82, 1 Li 2.01
Li 0.1316 0.3066 0.4356  2 F 1.96, 2 O 1.97-2.02
O 0.2575 0.6135 0.8719  2 V 1.92-1.93, 2 Li 1.97-2.08
Li 0.5098 0.7529 0.2517  4 F 2.02-2.05, 2 O 2.08-2.15
Li 0.1103 0.8059 0.9358  2 F 1.96, 2 O 1.97-2.02
V 0.5203 0.2492 0.2501  3 O 1.82-1.93, 2 F 2.01
F 0.7308 0.3451 0.6199  3 Li 1.94-2.05, 1 V 2.01
Li 0.8776 0.1915 0.0636  2 F 1.94, 2 O 1.99-2.01
V 0.4778 0.7489 0.7500  3 O 1.82-1.94, 2 F 2.01
F 0.7342 0.8454 0.1201  3 Li 1.94-2.05, 1 V 2.02
O 0.2860 0.8758 0.6306  1 V 1.82, 1 Li 1.99
V 0.5187 0.9998 0.4994  3 O 1.82-1.93, 2 F 2.00-2.01
O 0.7278 0.1140 0.3714  2 V 1.92, 2 Li 1.97-2.08
O 0.2891 0.3852 0.1228  1 V 1.82, 1 Li 2.01
Li 0.4986 0.2550 0.7505  4 F 2.02-2.05, 2 O 2.13-2.16
F 0.2706 0.8958 0.1389  3 Li 1.96-2.05, 1 V 2.01
O 0.6958 0.6220 0.8735  2 V 1.93-1.94, 2 Li 2.02-2.13
O 0.3002 0.1223 0.3737  2 V 1.93, 2 Li 2.02-2.13
Li 0.8774 0.6916 0.5637  2 F 1.94-1.95, 2 O 1.99-2.01
O 0.7205 0.3760 0.1308  1 V 1.82, 1 Li 1.99
Li 0.9946 0.2516 0.7520  4 F 2.03-2.05, 2 O 2.08-2.14
F 0.7411 0.6031 0.3623  3 Li 1.95-2.04, 1 V 2.01
F 0.2632 0.3955 0.6384  3 Li 1.96-2.05, 1 V 2.01
F 0.2751 0.6559 0.3788  3 Li 1.96-2.05, 1 V 2.00
V 0.4813 0.4996 0.9993  3 O 1.82-1.93, 2 F 2.01-2.02
F 0.7238 0.1023 0.8625  3 Li 1.94-2.04, 1 V 2.01